Entry 1:
Here is Cd2SiO4 after structural relaxation from the Materials Project. Energies are from PBE-GGA.

Cell: 8.8185 8.8185 8.8185 Å, 90.00 90.00 90.00°
Closest atoms and distances in Å follow each position.
Space group Fd-3m (No. 227, origin choice 2)
Symmetry-distinct sites (fractional):
Cd (0.0000, 0.0000, 0.0000) (multiplicity 16)  6 O 2.35
Si (0.1250, 0.1250, 0.6250) (multiplicity 8)  4 O 1.68
O (0.0151, 0.0151, 0.7349) (multiplicity 32)  1 Si 1.68

Summary:
* M_tot: 0.00 μB per atom
* energy relative to the elements: -2091 meV per atom
* energy above the most stable polymorph in this dataset: 134.5 meV/atom
* raw total energy: -5.565 eV per atom

Entry 2:
Here is VBr2 after structural relaxation from the Materials Project. Energies are from PBE-GGA.

Cell: 3.8454 3.8454 6.7211 Å, 90.00 90.00 120.00°
Closest atoms and distances in Å follow each position.
Space group P-3m1 (No. 164)
Symmetry-distinct sites (fractional):
V (0.0000, 0.0000, 0.0000) (multiplicity 1)  6 Br 2.65
Br (0.3333, 0.6667, 0.2160) (multiplicity 2)  3 V 2.65

Summary:
* energy relative to the elements: -1209 meV per atom
* raw total energy: -4.972 eV per atom